Rb2Mo3Se3O16 | PBE with a Hubbard U | optimized geometry

Summary:
The value obtained for the calculated formation energy is -1.76 eV per atom. The total energy comes out at -6.08 eV/atom. Its space-group type is P2_1/c (14).

Unit cell a=13.9047 b=8.3227 c=14.0600 alpha=90.00 beta=92.18 gamma=90.00
With the nearest neighbours (Å) after each atom.
Element x y z (fractional)
1 O 0.5342 0.1982 0.9162  1 Mo 1.72
2 O 0.1005 0.6970 0.0262  1 Se 1.80
3 O 0.2159 0.1734 0.1513  1 Se 1.76
4 O 0.7644 0.4901 0.8852  1 Se 1.77
5 O 0.7644 0.0099 0.3852  1 Se 1.77
6 O 0.4186 0.1504 0.1167  1 Mo 1.73
7 O 0.6109 0.3343 0.7574  1 Se 1.72
8 O 0.7841 0.8266 0.8487  1 Se 1.76
9 O 0.8319 0.4003 0.1521  1 Mo 1.75
10 O 0.4128 0.0133 0.5792  2 Mo 1.94-1.96
11 O 0.2261 0.9308 0.8239  1 Se 1.80, 1 Mo 1.98
12 O 0.6989 0.2661 0.0232  1 Mo 1.80
13 O 0.8995 0.1970 0.4738  1 Se 1.80
14 O 0.1691 0.5085 0.4998  1 Se 1.70
15 O 0.2945 0.2700 0.9768  1 Mo 1.75
16 O 0.7739 0.0692 0.1761  1 Se 1.80, 1 Mo 1.98
17 O 0.2945 0.2300 0.4768  1 Mo 1.75
18 O 0.8319 0.0997 0.6521  1 Mo 1.75
19 O 0.4658 0.8018 0.0838  1 Mo 1.72
20 O 0.4658 0.6982 0.5838  1 Mo 1.72
21 O 0.5814 0.8496 0.8833  1 Mo 1.73
22 O 0.2744 0.8670 0.1526  1 Se 1.76
23 O 0.2744 0.6330 0.6526  1 Se 1.76
24 O 0.5342 0.3018 0.4162  1 Mo 1.72
25 O 0.7841 0.6734 0.3487  1 Se 1.76
26 O 0.3483 0.3507 0.2553  1 Se 1.70
27 O 0.9620 0.1497 0.1424  1 Mo 1.74
28 O 0.3891 0.8343 0.7426  1 Se 1.72
29 O 0.0492 0.5054 0.1646  1 Se 1.65
30 O 0.1691 0.9915 0.9998  1 Se 1.70
31 O 0.3483 0.1493 0.7553  1 Se 1.70
32 O 0.2356 0.5099 0.1148  1 Se 1.77
33 O 0.7055 0.7700 0.5232  1 Mo 1.75
34 O 0.0380 0.6497 0.3576  1 Mo 1.74
35 O 0.1005 0.8030 0.5262  1 Se 1.80
36 O 0.9508 0.4946 0.8354  1 Se 1.65
37 O 0.7256 0.1330 0.8474  1 Se 1.76
38 O 0.2159 0.3266 0.6513  1 Se 1.76
39 O 0.6517 0.6493 0.7447  1 Se 1.70
40 O 0.3011 0.7661 0.4768  1 Mo 1.80
41 O 0.9508 0.0054 0.3354  1 Se 1.65
42 O 0.5814 0.6504 0.3833  1 Mo 1.73
43 O 0.3011 0.7339 0.9768  1 Mo 1.80
44 O 0.6989 0.2339 0.5232  1 Mo 1.80
45 O 0.7256 0.3670 0.3474  1 Se 1.76
46 O 0.4186 0.3496 0.6167  1 Mo 1.73
47 O 0.7739 0.4308 0.6761  1 Se 1.80, 1 Mo 1.98
48 O 0.7055 0.7300 0.0232  1 Mo 1.75
49 O 0.2261 0.5692 0.3239  1 Se 1.80, 1 Mo 1.98
50 O 0.5872 0.9867 0.4208  2 Mo 1.94-1.96
51 O 0.3891 0.6657 0.2426  1 Se 1.72
52 O 0.0380 0.8503 0.8576  1 Mo 1.74
53 O 0.6517 0.8507 0.2447  1 Se 1.70
54 O 0.5872 0.5133 0.9208  2 Mo 1.94-1.96
55 O 0.2356 0.9901 0.6148  1 Se 1.77
56 O 0.4128 0.4867 0.0792  2 Mo 1.94-1.96
57 O 0.0492 0.9946 0.6646  1 Se 1.65
58 O 0.8995 0.3030 0.9738  1 Se 1.80
59 O 0.6109 0.1657 0.2574  1 Se 1.72
60 O 0.8309 0.0085 0.0002  1 Se 1.70
61 O 0.1681 0.5997 0.8479  1 Mo 1.75
62 O 0.1681 0.9003 0.3479  1 Mo 1.75
63 O 0.9620 0.3503 0.6424  1 Mo 1.74
64 O 0.8309 0.4915 0.5002  1 Se 1.70
65 Se 0.8843 0.9944 0.4300  3 O 1.65-1.80
66 Se 0.8279 0.4813 0.3794  3 O 1.70-1.76
67 Se 0.6478 0.4786 0.6786  3 O 1.70-1.80
68 Se 0.3522 0.9786 0.8214  3 O 1.70-1.80
69 Se 0.1157 0.4944 0.0700  3 O 1.65-1.80
70 Se 0.1721 0.9813 0.1206  3 O 1.70-1.76
71 Se 0.1157 0.0056 0.5700  3 O 1.65-1.80
72 Se 0.8279 0.0187 0.8794  3 O 1.70-1.76
73 Se 0.1721 0.5187 0.6206  3 O 1.70-1.76
74 Se 0.3522 0.5214 0.3214  3 O 1.70-1.80
75 Se 0.6478 0.0214 0.1786  3 O 1.70-1.80
76 Se 0.8843 0.5056 0.9300  3 O 1.65-1.80
77 Mo 0.8506 0.2152 0.0974  2 O 1.74-1.75
78 Mo 0.6679 0.7964 0.4042  2 O 1.73-1.75
79 Mo 0.3321 0.2036 0.5958  2 O 1.73-1.75
80 Mo 0.3588 0.7006 0.0917  2 O 1.72-1.80
81 Mo 0.6679 0.7036 0.9042  2 O 1.73-1.75
82 Mo 0.6412 0.2994 0.9083  2 O 1.72-1.80
83 Mo 0.1494 0.7848 0.9026  2 O 1.74-1.75
84 Mo 0.8506 0.2848 0.5974  2 O 1.74-1.75
85 Mo 0.3588 0.7994 0.5917  2 O 1.72-1.80
86 Mo 0.3321 0.2964 0.0958  2 O 1.73-1.75
87 Mo 0.6412 0.2006 0.4083  2 O 1.72-1.80
88 Mo 0.1494 0.7152 0.4026  2 O 1.74-1.75
89 Rb 0.3893 0.0156 0.3262  9 O 3.01-3.34
90 Rb 0.9057 0.7720 0.1749  8 O 2.99-3.29
91 Rb 0.3893 0.4844 0.8262  9 O 3.01-3.34
92 Rb 0.6107 0.9844 0.6738  9 O 3.01-3.34
93 Rb 0.0943 0.2280 0.8251  8 O 2.99-3.29
94 Rb 0.0943 0.2720 0.3251  8 O 2.99-3.29
95 Rb 0.9057 0.7280 0.6749  8 O 2.99-3.29
96 Rb 0.6107 0.5156 0.1738  9 O 3.01-3.34